Version i
DFT (PBE) results for a relaxed structure of Li2TiTe3O12.

Space-group type: P2 (3)
Volume: 12.213 Å³/atom

```
Li2TiTe3O12
1.0
-2.566 4.192 6.960
-5.307 -4.613 0.822
4.043 -4.428 4.157
O Ti Te Li
24 2 6 4
Direct
0.256 0.451 0.683
0.259 0.947 0.191
0.756 0.702 0.945
0.585 0.984 0.190
0.085 0.810 0.515
0.259 0.053 0.809
0.754 0.196 0.445
0.072 0.294 0.013
0.580 0.487 0.692
0.430 0.733 0.938
0.935 0.453 0.746
0.085 0.190 0.485
0.754 0.804 0.555
0.580 0.513 0.308
0.431 0.229 0.443
0.933 0.056 0.753
0.933 0.944 0.247
0.585 0.016 0.810
0.256 0.549 0.317
0.756 0.298 0.055
0.430 0.267 0.062
0.072 0.706 0.987
0.431 0.771 0.557
0.935 0.547 0.254
0.099 0.740 0.253
0.099 0.260 0.747
0.918 0.500 0.000
0.409 0.000 0.000
0.917 0.000 0.500
0.412 0.500 0.500
0.604 0.249 0.250
0.604 0.751 0.750
0.177 0.266 0.243
0.299 0.000 0.500
0.850 0.000 0.000
0.177 0.734 0.757
```

Version ii
DFT (PBE) results for a relaxed structure of Li2TiTe3O12.

Space-group type: P2 (3)
Piezoelectric modulus e_max: 0.6 C/m2
Volume: 12.277 Å³/atom

```
Li2TiTe3O12
1.0
-3.280 -2.467 7.381
3.794 -3.225 0.608
2.799 3.649 2.463
Ti O Te Li
1 12 3 2
Direct
0.907 0.000 0.000
0.569 0.293 0.328
0.243 0.248 0.358
0.569 0.707 0.672
0.067 0.804 0.191
0.909 0.202 0.328
0.067 0.196 0.809
0.741 0.741 0.139
0.419 0.704 0.182
0.243 0.752 0.642
0.909 0.798 0.672
0.741 0.259 0.861
0.419 0.296 0.818
0.390 0.500 0.500
0.589 0.500 0.000
0.080 0.000 0.500
0.697 0.000 0.500
0.817 0.500 0.500
```

Relative energies in kJ/mol of atoms: version i 0.0; version ii 1.4